! LiMg6SbO8 (r2SCAN, optimized geometry); values from VASP
! Formation enthalpy at 0 K (meV per atom): -2491
! Magnetization (μB per atom): 0.000
! Volume (A^3/atom): 10.21
! Calculated total energy (eV per atom): -8.796
! Crystal system: tetragonal
! Space group: P4/mmm, No. 123
&SYSTEM
  ibrav = 0, nat = 16, ntyp = 4
/
ATOMIC_SPECIES
Li 6.94 Li.upf
Mg 24.30 Mg.upf
Sb 121.76 Sb.upf
O 16.00 O.upf
CELL_PARAMETERS angstrom
4.335 0.000 0.000
0.000 4.335 0.000
0.000 0.000 8.694
ATOMIC_POSITIONS crystal
Li 0.000 0.000 0.000
Mg 0.000 0.500 0.226
Mg 0.000 0.500 0.774
Mg 0.500 0.000 0.226
Mg 0.500 0.000 0.774
Mg 0.500 0.500 0.000
Mg 0.500 0.500 0.500
Sb 0.000 0.000 0.500
O 0.000 0.000 0.242
O 0.000 0.000 0.758
O 0.000 0.500 0.000
O 0.000 0.500 0.500
O 0.500 0.000 0.000
O 0.500 0.000 0.500
O 0.500 0.500 0.254
O 0.500 0.500 0.746

! LiMg2Pd (r2SCAN, optimized geometry); values from VASP
! Formation enthalpy at 0 K (meV per atom): -447
! Magnetization (μB per atom): 0.000
! Volume (A^3/atom): 16.64
! Calculated total energy (eV per atom): -8.868
! Crystal system: cubic
! Space group: Fm-3m, No. 225
&SYSTEM
  ibrav = 0, nat = 16, ntyp = 3
/
ATOMIC_SPECIES
Li 6.94 Li.upf
Mg 24.30 Mg.upf
Pd 106.42 Pd.upf
CELL_PARAMETERS angstrom
6.434 0.000 0.000
0.000 6.434 0.000
0.000 0.000 6.434
ATOMIC_POSITIONS crystal
Li 0.000 0.000 0.000
Li 0.000 0.500 0.500
Li 0.500 0.000 0.500
Li 0.500 0.500 0.000
Mg 0.250 0.250 0.250
Mg 0.250 0.250 0.750
Mg 0.250 0.750 0.250
Mg 0.250 0.750 0.750
Mg 0.750 0.250 0.250
Mg 0.750 0.250 0.750
Mg 0.750 0.750 0.250
Mg 0.750 0.750 0.750
Pd 0.000 0.000 0.500
Pd 0.000 0.500 0.000
Pd 0.500 0.000 0.000
Pd 0.500 0.500 0.500

! Li2Mg3Si2 (r2SCAN, optimized geometry); values from VASP
! Formation enthalpy at 0 K (meV per atom): -239
! Magnetization (μB per atom): 0.000
! Volume (A^3/atom): 18.19
! Calculated total energy (eV per atom): -5.214
! Crystal system: trigonal
! Space group: R3m, No. 160
&SYSTEM
  ibrav = 0, nat = 7, ntyp = 3
/
ATOMIC_SPECIES
Li 6.94 Li.upf
Mg 24.30 Mg.upf
Si 28.09 Si.upf
CELL_PARAMETERS angstrom
2.238 1.292 7.336
-2.238 1.292 7.336
0.000 -2.584 7.336
ATOMIC_POSITIONS crystal
Li 0.000 0.000 0.000
Li 0.377 0.377 0.377
Mg 0.120 0.120 0.120
Mg 0.617 0.617 0.617
Mg 0.863 0.863 0.863
Si 0.246 0.246 0.246
Si 0.740 0.740 0.740

! Li14MgSi4 (r2SCAN, optimized geometry); values from VASP
! Formation enthalpy at 0 K (meV per atom): -284
! Magnetization (μB per atom): 0.000
! Volume (A^3/atom): 15.76
! Calculated total energy (eV per atom): -4.109
! Crystal system: tetragonal
! Space group: I-42d, No. 122
&SYSTEM
  ibrav = 0, nat = 38, ntyp = 3
/
ATOMIC_SPECIES
Li 6.94 Li.upf
Mg 24.30 Mg.upf
Si 28.09 Si.upf
CELL_PARAMETERS angstrom
-5.311 5.311 5.307
5.311 -5.311 5.307
5.311 5.311 -5.307
ATOMIC_POSITIONS crystal
Li 0.019 0.607 0.666
Li 0.038 0.763 0.474
Li 0.103 0.191 0.834
Li 0.154 0.217 0.371
Li 0.217 0.846 0.062
Li 0.237 0.711 0.276
Li 0.249 0.125 0.624
Li 0.289 0.564 0.526
Li 0.314 0.539 0.026
Li 0.357 0.269 0.166
Li 0.375 0.751 0.876
Li 0.393 0.059 0.411
Li 0.436 0.962 0.724
Li 0.461 0.487 0.776
Li 0.501 0.625 0.376
Li 0.513 0.288 0.974
Li 0.533 0.096 0.129
Li 0.596 0.467 0.562
Li 0.647 0.981 0.589
Li 0.712 0.686 0.224
Li 0.731 0.897 0.089
Li 0.783 0.154 0.938
Li 0.809 0.643 0.911
Li 0.846 0.783 0.629
Li 0.875 0.499 0.124
Li 0.904 0.033 0.438
Li 0.941 0.353 0.334
Li 0.967 0.404 0.871
Mg 0.000 0.000 0.000
Mg 0.750 0.250 0.500
Si 0.037 0.874 0.246
Si 0.122 0.376 0.663
Si 0.126 0.372 0.163
Si 0.209 0.963 0.837
Si 0.541 0.878 0.254
Si 0.624 0.287 0.746
Si 0.628 0.791 0.754
Si 0.713 0.459 0.337

! Sr2LiMgSi3 (r2SCAN, optimized geometry); values from VASP
! Formation enthalpy at 0 K (meV per atom): -458
! Magnetization (μB per atom): 0.000
! Volume (A^3/atom): 23.01
! Calculated total energy (eV per atom): -9.482
! Crystal system: orthorhombic
! Space group: Cmc2_1, No. 36
&SYSTEM
  ibrav = 0, nat = 14, ntyp = 4
/
ATOMIC_SPECIES
Sr 87.62 Sr.upf
Li 6.94 Li.upf
Mg 24.30 Mg.upf
Si 28.09 Si.upf
CELL_PARAMETERS angstrom
2.303 -9.770 0.000
2.303 9.770 0.000
0.000 0.000 7.158
ATOMIC_POSITIONS crystal
Sr 0.056 0.944 0.500
Sr 0.154 0.846 0.983
Sr 0.846 0.154 0.483
Sr 0.944 0.056 0.000
Li 0.306 0.694 0.200
Li 0.694 0.306 0.700
Mg 0.309 0.691 0.805
Mg 0.691 0.309 0.305
Si 0.221 0.779 0.502
Si 0.447 0.553 0.665
Si 0.449 0.551 0.333
Si 0.551 0.449 0.833
Si 0.553 0.447 0.165
Si 0.779 0.221 0.002

! LiMgTl2 (r2SCAN, optimized geometry); values from VASP
! Formation enthalpy at 0 K (meV per atom): -148
! Magnetization (μB per atom): 0.000
! Volume (A^3/atom): 22.71
! Calculated total energy (eV per atom): -28.377
! Crystal system: cubic
! Space group: Fm-3m, No. 225
&SYSTEM
  ibrav = 0, nat = 16, ntyp = 3
/
ATOMIC_SPECIES
Li 6.94 Li.upf
Mg 24.30 Mg.upf
Tl 204.38 Tl.upf
CELL_PARAMETERS angstrom
7.136 0.000 0.000
0.000 7.136 0.000
0.000 0.000 7.136
ATOMIC_POSITIONS crystal
Li 0.000 0.000 0.000
Li 0.000 0.500 0.500
Li 0.500 0.000 0.500
Li 0.500 0.500 0.000
Mg 0.000 0.000 0.500
Mg 0.000 0.500 0.000
Mg 0.500 0.000 0.000
Mg 0.500 0.500 0.500
Tl 0.250 0.250 0.250
Tl 0.250 0.250 0.750
Tl 0.250 0.750 0.250
Tl 0.250 0.750 0.750
Tl 0.750 0.250 0.250
Tl 0.750 0.250 0.750
Tl 0.750 0.750 0.250
Tl 0.750 0.750 0.750

! Li2MgTl (r2SCAN, optimized geometry); values from VASP
! Formation enthalpy at 0 K (meV per atom): -252
! Magnetization (μB per atom): 0.000
! Volume (A^3/atom): 19.39
! Calculated total energy (eV per atom): -15.783
! Crystal system: cubic
! Space group: F-43m, No. 216
&SYSTEM
  ibrav = 0, nat = 16, ntyp = 3
/
ATOMIC_SPECIES
Li 6.94 Li.upf
Mg 24.30 Mg.upf
Tl 204.38 Tl.upf
CELL_PARAMETERS angstrom
6.770 0.000 0.000
0.000 6.770 0.000
0.000 0.000 6.770
ATOMIC_POSITIONS crystal
Li 0.000 0.000 0.000
Li 0.000 0.500 0.500
Li 0.250 0.250 0.250
Li 0.250 0.750 0.750
Li 0.500 0.000 0.500
Li 0.500 0.500 0.000
Li 0.750 0.250 0.750
Li 0.750 0.750 0.250
Mg 0.000 0.000 0.500
Mg 0.000 0.500 0.000
Mg 0.500 0.000 0.000
Mg 0.500 0.500 0.500
Tl 0.250 0.250 0.750
Tl 0.250 0.750 0.250
Tl 0.750 0.250 0.250
Tl 0.750 0.750 0.750

! Li2MgTl (r2SCAN, optimized geometry); values from VASP
! Formation enthalpy at 0 K (meV per atom): -228
! Magnetization (μB per atom): 0.000
! Volume (A^3/atom): 18.40
! Calculated total energy (eV per atom): -15.758
! Crystal system: cubic
! Space group: Fm-3m, No. 225
&SYSTEM
  ibrav = 0, nat = 16, ntyp = 3
/
ATOMIC_SPECIES
Li 6.94 Li.upf
Mg 24.30 Mg.upf
Tl 204.38 Tl.upf
CELL_PARAMETERS angstrom
6.652 0.000 0.000
0.000 6.652 0.000
0.000 0.000 6.652
ATOMIC_POSITIONS crystal
Li 0.250 0.250 0.250
Li 0.250 0.250 0.750
Li 0.250 0.750 0.250
Li 0.250 0.750 0.750
Li 0.750 0.250 0.250
Li 0.750 0.250 0.750
Li 0.750 0.750 0.250
Li 0.750 0.750 0.750
Mg 0.000 0.000 0.000
Mg 0.000 0.500 0.500
Mg 0.500 0.000 0.500
Mg 0.500 0.500 0.000
Tl 0.000 0.000 0.500
Tl 0.000 0.500 0.000
Tl 0.500 0.000 0.000
Tl 0.500 0.500 0.500

! Li2MgZn (r2SCAN, optimized geometry); values from VASP
! Formation enthalpy at 0 K (meV per atom): -122
! Magnetization (μB per atom): 0.000
! Volume (A^3/atom): 16.91
! Calculated total energy (eV per atom): -4.586
! Crystal system: cubic
! Space group: F-43m, No. 216
&SYSTEM
  ibrav = 0, nat = 16, ntyp = 3
/
ATOMIC_SPECIES
Li 6.94 Li.upf
Mg 24.30 Mg.upf
Zn 65.41 Zn.upf
CELL_PARAMETERS angstrom
6.467 0.000 0.000
0.000 6.467 0.000
0.000 0.000 6.467
ATOMIC_POSITIONS crystal
Li 0.000 0.000 0.000
Li 0.000 0.500 0.500
Li 0.250 0.250 0.250
Li 0.250 0.750 0.750
Li 0.500 0.000 0.500
Li 0.500 0.500 0.000
Li 0.750 0.250 0.750
Li 0.750 0.750 0.250
Mg 0.000 0.000 0.500
Mg 0.000 0.500 0.000
Mg 0.500 0.000 0.000
Mg 0.500 0.500 0.500
Zn 0.250 0.250 0.750
Zn 0.250 0.750 0.250
Zn 0.750 0.250 0.250
Zn 0.750 0.750 0.750

! Li8Mn12Ni4O31 (r2SCAN, optimized geometry); values from VASP
! Formation enthalpy at 0 K (meV per atom): -2050
! Magnetization (μB per atom): 0.800
! Volume (A^3/atom): 9.80
! Calculated total energy (eV per atom): -9.839
! Crystal system: triclinic
! Space group: P1, No. 1
&SYSTEM
  ibrav = 0, nat = 55, ntyp = 4
/
ATOMIC_SPECIES
Li 6.94 Li.upf
Mn 54.94 Mn.upf
Ni 58.69 Ni.upf
O 16.00 O.upf
CELL_PARAMETERS angstrom
8.125 0.000 0.000
0.023 8.140 0.000
0.002 0.017 8.152
ATOMIC_POSITIONS crystal
Li 0.000 0.000 0.000
Li 0.003 0.499 0.506
Li 0.248 0.742 0.751
Li 0.251 0.249 0.249
Li 0.497 0.493 0.006
Li 0.502 0.990 0.504
Li 0.752 0.244 0.755
Li 0.761 0.766 0.238
Mn 0.124 0.623 0.129
Mn 0.128 0.872 0.376
Mn 0.129 0.120 0.624
Mn 0.373 0.871 0.125
Mn 0.376 0.118 0.874
Mn 0.377 0.368 0.627
Mn 0.623 0.867 0.878
Mn 0.624 0.362 0.380
Mn 0.624 0.615 0.629
Mn 0.871 0.621 0.882
Mn 0.874 0.375 0.132
Mn 0.879 0.123 0.379
Ni 0.123 0.373 0.876
Ni 0.380 0.616 0.380
Ni 0.623 0.124 0.125
Ni 0.878 0.868 0.631
O 0.103 0.622 0.896
O 0.108 0.394 0.128
O 0.116 0.110 0.388
O 0.125 0.643 0.361
O 0.129 0.887 0.605
O 0.136 0.860 0.139
O 0.142 0.121 0.854
O 0.147 0.353 0.626
O 0.355 0.638 0.130
O 0.361 0.868 0.356
O 0.366 0.131 0.637
O 0.373 0.104 0.104
O 0.376 0.349 0.859
O 0.385 0.881 0.889
O 0.390 0.597 0.624
O 0.396 0.372 0.393
O 0.603 0.874 0.112
O 0.608 0.099 0.876
O 0.615 0.381 0.612
O 0.626 0.847 0.646
O 0.638 0.634 0.883
O 0.641 0.375 0.152
O 0.648 0.132 0.378
O 0.854 0.855 0.880
O 0.858 0.618 0.652
O 0.861 0.363 0.369
O 0.873 0.389 0.902
O 0.875 0.145 0.146
O 0.887 0.611 0.120
O 0.894 0.893 0.378
O 0.898 0.121 0.610

! Li4Mn5O12 (r2SCAN, optimized geometry); values from VASP
! Formation enthalpy at 0 K (meV per atom): -2214
! Magnetization (μB per atom): 0.714
! Volume (A^3/atom): 9.46
! Calculated total energy (eV per atom): -9.578
! Crystal system: monoclinic
! Space group: C2/c, No. 15
&SYSTEM
  ibrav = 0, nat = 42, ntyp = 3
/
ATOMIC_SPECIES
Li 6.94 Li.upf
Mn 54.94 Mn.upf
O 16.00 O.upf
CELL_PARAMETERS angstrom
4.046 -4.041 0.000
4.046 4.041 0.000
-3.953 0.000 12.153
ATOMIC_POSITIONS crystal
Li 0.000 0.000 0.000
Li 0.000 0.000 0.500
Li 0.118 0.882 0.750
Li 0.216 0.461 0.922
Li 0.461 0.216 0.422
Li 0.539 0.784 0.578
Li 0.784 0.539 0.078
Li 0.882 0.118 0.250
Mn 0.000 0.500 0.500
Mn 0.166 0.668 0.336
Mn 0.329 0.332 0.664
Mn 0.332 0.329 0.164
Mn 0.332 0.834 0.164
Mn 0.500 0.000 0.000
Mn 0.668 0.166 0.836
Mn 0.668 0.671 0.836
Mn 0.671 0.668 0.336
Mn 0.834 0.332 0.664
O 0.078 0.559 0.658
O 0.083 0.126 0.670
O 0.117 0.585 0.173
O 0.126 0.083 0.170
O 0.224 0.726 0.486
O 0.238 0.274 0.514
O 0.274 0.238 0.014
O 0.274 0.776 0.014
O 0.414 0.437 0.324
O 0.415 0.883 0.327
O 0.437 0.414 0.824
O 0.441 0.922 0.842
O 0.559 0.078 0.158
O 0.563 0.586 0.176
O 0.585 0.117 0.673
O 0.586 0.563 0.676
O 0.726 0.224 0.986
O 0.726 0.762 0.986
O 0.762 0.726 0.486
O 0.776 0.274 0.514
O 0.874 0.917 0.830
O 0.883 0.415 0.827
O 0.917 0.874 0.330
O 0.922 0.441 0.342

! Li2MnO2 (r2SCAN, optimized geometry); values from VASP
! Formation enthalpy at 0 K (meV per atom): -1996
! Magnetization (μB per atom): 1.000
! Volume (A^3/atom): 9.13
! Calculated total energy (eV per atom): -8.277
! Crystal system: trigonal
! Space group: P-3m1, No. 164
&SYSTEM
  ibrav = 0, nat = 5, ntyp = 3
/
ATOMIC_SPECIES
Li 6.94 Li.upf
Mn 54.94 Mn.upf
O 16.00 O.upf
CELL_PARAMETERS angstrom
3.174 0.000 0.000
-1.587 2.748 0.000
0.000 0.000 5.234
ATOMIC_POSITIONS crystal
Li 0.333 0.667 0.131
Li 0.667 0.333 0.869
Mn 0.000 0.000 0.500
O 0.333 0.667 0.747
O 0.667 0.333 0.253

> The highest magnetization belongs to which entry?

Li2MnO2

> Which value of magnetization does entry 5 give?

0.000 μB per atom